# CoGeO3

CoGeO3 after structural relaxation (GGA+U, the Materials Project).

Summary:
E (MP2020) = -7.106 eV/atom
Formation energy = -1.791 eV/atom
Symmetry = No. 15

a b c (Å): 6.6937 6.6937 5.2380
angles (deg): 81.49 81.49 86.09
With the nearest neighbours (Å) after each atom.
Sites, in units of the cell vectors:
Ge 0.6054 0.7956 0.2151  4 O 1.74-1.85
Co 0.2699 0.7301 0.7500  4 O 2.03-2.13
O 0.2895 0.4285 0.5897  2 Ge 1.82-1.85
O 0.7927 0.9774 0.1353  1 Ge 1.77
Co 0.7301 0.2699 0.2500  4 O 2.03-2.13
O 0.1359 0.6273 0.1159  1 Ge 1.74
O 0.6273 0.1359 0.6159  1 Ge 1.74
Ge 0.2044 0.3946 0.2849  4 O 1.74-1.85
O 0.0226 0.2073 0.3647  1 Ge 1.77
O 0.9774 0.7927 0.6353  1 Ge 1.77
O 0.8641 0.3727 0.8841  1 Ge 1.74
Co 0.0939 0.9061 0.2500  6 O 2.08-2.19
Co 0.9061 0.0939 0.7500  6 O 2.08-2.19
O 0.3727 0.8641 0.3841  1 Ge 1.74
Ge 0.3946 0.2044 0.7849  4 O 1.74-1.85
O 0.2073 0.0226 0.8647  1 Ge 1.77
O 0.7105 0.5715 0.4103  2 Ge 1.82-1.85
O 0.5715 0.7105 0.9103  2 Ge 1.82-1.85
O 0.4285 0.2895 0.0897  2 Ge 1.82-1.85
Ge 0.7956 0.6054 0.7151  4 O 1.74-1.85

# EuWO3

EuWO3 after structural relaxation (GGA+U, the Materials Project).

Summary:
E (MP2020) = -10.021 eV/atom
Formation energy = -2.409 eV/atom
Symmetry = No. 221

a b c (Å): 4.1002 4.1002 4.1002
angles (deg): 90.00 90.00 90.00
With the nearest neighbours (Å) after each atom.
Sites, in units of the cell vectors:
W 0.5000 0.5000 0.5000  6 O 2.05
O 0.5000 0.0000 0.5000  2 W 2.05
O 0.5000 0.5000 0.0000  2 W 2.05
O 0.0000 0.5000 0.5000  2 W 2.05
Eu 0.0000 0.0000 0.0000  12 O 2.90

# Zn3Ge3W2O12

Zn3Ge3W2O12 after structural relaxation (GGA+U, the Materials Project).

Summary:
E (MP2020) = -6.920 eV/atom
Formation energy = -1.773 eV/atom
Symmetry = No. 230

a b c (Å): 10.7621 10.7621 10.7621
angles (deg): 109.47 109.47 109.47
With the nearest neighbours (Å) after each atom.
Sites, in units of the cell vectors:
O 0.5854 0.1885 0.2169  1 Ge 1.79
O 0.4716 0.6031 0.1885  1 Ge 1.79
O 0.3685 0.5854 0.8969  1 Ge 1.79
O 0.0854 0.8685 0.3969  1 Ge 1.79
O 0.3969 0.8115 0.5284  1 Ge 1.79
W 0.5000 0.0000 0.0000  6 O 2.14
Ge 0.2500 0.1250 0.8750  4 O 1.79
Ge 0.8750 0.1250 0.7500  4 O 1.79
O 0.6031 0.1885 0.4716  1 Ge 1.79
O 0.9146 0.2831 0.3115  1 Ge 1.79
Ge 0.6250 0.3750 0.2500  4 O 1.79
W 0.0000 0.5000 0.0000  6 O 2.14
O 0.4146 0.1031 0.6315  1 Ge 1.79
O 0.3685 0.2831 0.4716  1 Ge 1.79
O 0.7831 0.8685 0.9716  1 Ge 1.79
O 0.1885 0.2169 0.5854  1 Ge 1.79
Zn 0.1250 0.3750 0.7500  8 O 2.32-2.46
Zn 0.8750 0.7500 0.6250  8 O 2.32-2.46
Zn 0.6250 0.8750 0.7500  8 O 2.32-2.46
O 0.7169 0.6885 0.0854  1 Ge 1.79
W 0.5000 0.5000 0.5000  6 O 2.14
Zn 0.2500 0.8750 0.6250  8 O 2.32-2.46
W 0.0000 0.5000 0.5000  6 O 2.14
O 0.5284 0.6315 0.7169  1 Ge 1.79
O 0.8685 0.3969 0.0854  1 Ge 1.79
O 0.0854 0.7169 0.6885  1 Ge 1.79
Zn 0.7500 0.1250 0.3750  8 O 2.32-2.46
O 0.3115 0.8969 0.0284  1 Ge 1.79
Ge 0.7500 0.8750 0.1250  4 O 1.79
O 0.7169 0.5284 0.6315  1 Ge 1.79
O 0.6885 0.1031 0.9716  1 Ge 1.79
O 0.5284 0.3969 0.8115  1 Ge 1.79
O 0.2831 0.3115 0.9146  1 Ge 1.79
Ge 0.3750 0.6250 0.7500  4 O 1.79
Zn 0.7500 0.6250 0.8750  8 O 2.32-2.46
Ge 0.8750 0.2500 0.1250  4 O 1.79
O 0.3969 0.0854 0.8685  1 Ge 1.79
Zn 0.8750 0.6250 0.2500  8 O 2.32-2.46
O 0.8969 0.3685 0.5854  1 Ge 1.79
W 0.5000 0.0000 0.5000  6 O 2.14
W 0.0000 0.0000 0.0000  6 O 2.14
O 0.5854 0.8969 0.3685  1 Ge 1.79
O 0.1315 0.0284 0.2169  1 Ge 1.79
O 0.3115 0.9146 0.2831  1 Ge 1.79
Zn 0.3750 0.7500 0.1250  8 O 2.32-2.46
O 0.6315 0.4146 0.1031  1 Ge 1.79
W 0.5000 0.5000 0.0000  6 O 2.14
O 0.9716 0.7831 0.8685  1 Ge 1.79
O 0.2169 0.5854 0.1885  1 Ge 1.79
Ge 0.7500 0.3750 0.6250  4 O 1.79
O 0.6315 0.7169 0.5284  1 Ge 1.79
Zn 0.6250 0.2500 0.8750  8 O 2.32-2.46
O 0.1031 0.6315 0.4146  1 Ge 1.79
O 0.6885 0.0854 0.7169  1 Ge 1.79
O 0.0284 0.3115 0.8969  1 Ge 1.79
Zn 0.1250 0.2500 0.3750  8 O 2.32-2.46
O 0.4146 0.8115 0.7831  1 Ge 1.79
O 0.0284 0.2169 0.1315  1 Ge 1.79
O 0.2831 0.4716 0.3685  1 Ge 1.79
O 0.7831 0.4146 0.8115  1 Ge 1.79
O 0.9716 0.6885 0.1031  1 Ge 1.79
Ge 0.1250 0.7500 0.8750  4 O 1.79
Ge 0.2500 0.6250 0.3750  4 O 1.79
Ge 0.1250 0.8750 0.2500  4 O 1.79
O 0.8115 0.7831 0.4146  1 Ge 1.79
O 0.9146 0.1315 0.6031  1 Ge 1.79
Ge 0.3750 0.2500 0.6250  4 O 1.79
O 0.1031 0.9716 0.6885  1 Ge 1.79
O 0.8115 0.5284 0.3969  1 Ge 1.79
O 0.1885 0.4716 0.6031  1 Ge 1.79
Zn 0.2500 0.3750 0.1250  8 O 2.32-2.46
Ge 0.6250 0.7500 0.3750  4 O 1.79
Zn 0.3750 0.1250 0.2500  8 O 2.32-2.46
W 0.0000 0.0000 0.5000  6 O 2.14
O 0.8969 0.0284 0.3115  1 Ge 1.79
O 0.8685 0.9716 0.7831  1 Ge 1.79
O 0.1315 0.6031 0.9146  1 Ge 1.79
O 0.2169 0.1315 0.0284  1 Ge 1.79
O 0.6031 0.9146 0.1315  1 Ge 1.79
O 0.4716 0.3685 0.2831  1 Ge 1.79

# Li9Mn7O16

Li9Mn7O16 after structural relaxation (GGA+U, the Materials Project).

Summary:
Distance to the lowest polymorph of the same formula = 8.0 meV/atom
E (MP2020) = -7.152 eV/atom
Formation energy = -2.137 eV/atom
Symmetry = No. 2

a b c (Å): 5.0809 5.9933 10.2310
angles (deg): 92.11 101.51 102.95
With the nearest neighbours (Å) after each atom.
Sites, in units of the cell vectors:
Mn 0.9954 0.6113 0.8786  6 O 1.89-2.05
Mn 0.4936 0.7369 0.7565  4 O 1.91-2.01
O 0.7492 0.0506 0.6756  2 Mn 1.94-1.95
Li 0.9887 0.8698 0.1216  6 O 2.05-2.23
O 0.7466 0.8186 0.4469  2 Mn 1.97-1.98, 3 Li 2.13-2.19
O 0.7554 0.3052 0.4223  2 Mn 1.95-1.98, 2 Li 2.17
Li 0.5000 0.5000 0.0000  6 O 2.04-2.23
Mn 0.5000 0.0000 0.5000  4 O 1.95-1.97
O 0.7511 0.8029 0.9247  2 Mn 1.91-1.98, 1 Li 2.10
O 0.2508 0.9494 0.3244  2 Mn 1.94-1.95
Li 0.9977 0.6249 0.3718  6 O 2.03-2.21
O 0.7850 0.3396 0.9412  2 Mn 1.93-1.94, 3 Li 2.05-2.12
O 0.2242 0.8978 0.8152  3 Mn 2.01-2.05, 2 Li 2.09-2.10
O 0.2544 0.4382 0.2976  2 Mn 1.96-1.97, 3 Li 2.09-2.16
O 0.2150 0.6604 0.0588  2 Mn 1.93-1.94, 3 Li 2.05-2.12
Mn 0.0046 0.3887 0.1214  6 O 1.89-2.05
O 0.2291 0.4426 0.8189  1 Mn 1.89, 2 Li 2.03-2.04
Li 0.4986 0.7376 0.2461  5 O 2.09-2.21
O 0.2489 0.1971 0.0753  2 Mn 1.91-1.98, 1 Li 2.10
Li 0.0113 0.1302 0.8784  6 O 2.05-2.23
Li 0.5000 0.5000 0.5000  6 O 2.16-2.19
O 0.7456 0.5618 0.7024  2 Mn 1.96-1.97, 3 Li 2.09-2.16
Mn 0.0052 0.1292 0.3731  4 O 1.94-2.02
Li 0.0023 0.3751 0.6282  6 O 2.03-2.21
O 0.2534 0.1814 0.5531  2 Mn 1.97-1.98, 3 Li 2.13-2.19
Mn 0.5064 0.2631 0.2435  4 O 1.91-2.01
Li 0.5000 0.0000 0.0000  4 O 2.09-2.15
O 0.7709 0.5574 0.1811  1 Mn 1.89, 2 Li 2.03-2.04
O 0.7758 0.1022 0.1848  3 Mn 2.01-2.05, 2 Li 2.09-2.10
Mn 0.9948 0.8708 0.6269  4 O 1.94-2.02
Li 0.5014 0.2624 0.7539  5 O 2.09-2.21
O 0.2446 0.6948 0.5777  2 Mn 1.95-1.98, 2 Li 2.17

# SrCa3Mn4O10

SrCa3Mn4O10 after structural relaxation (GGA+U, the Materials Project).

Summary:
Distance to the lowest polymorph of the same formula = 33.0 meV/atom
E (MP2020) = -7.733 eV/atom
Formation energy = -2.520 eV/atom
Symmetry = No. 1

a b c (Å): 5.5926 11.1140 15.4506
angles (deg): 90.24 90.11 91.32
With the nearest neighbours (Å) after each atom.
Sites, in units of the cell vectors:
O 0.7056 0.6264 0.5216  2 Mn 1.91-2.12
Ca 0.5450 0.2324 0.8907  5 O 2.29-2.49
O 0.3019 0.3546 0.5189  2 Mn 1.92-1.98
Ca 0.0098 0.9603 0.3846  7 O 2.38-2.64
O 0.9929 0.2860 0.3785  2 Mn 2.05
Ca 0.9657 0.5451 0.6290  6 O 2.31-2.43
O 0.6617 0.1494 0.2518  2 Mn 1.89-2.02
Mn 0.0073 0.7567 0.7471  5 O 1.91-2.02
O 0.5308 0.4751 0.3756  2 Mn 1.96-1.97
O 0.2706 0.8482 0.9819  2 Mn 1.95-2.07
O 0.0696 0.2090 0.6338  2 Mn 2.01
O 0.9328 0.7393 0.8745  2 Mn 1.98-2.02
O 0.7097 0.6573 0.2284  2 Mn 1.94-2.00
O 0.9435 0.7459 0.3767  2 Mn 1.99-2.02
Mn 0.5026 0.5187 0.2526  4 O 1.91-1.97
Sr 0.9815 0.5141 0.3771  5 O 2.45-2.59
Mn 0.4664 0.5054 0.4984  4 O 1.91-1.96
Ca 0.5004 0.7781 0.1214  6 O 2.40-2.64
O 0.2415 0.0959 0.4763  2 Mn 1.93-2.04
O 0.2933 0.8570 0.4848  2 Mn 1.96-2.04
Sr 0.5121 0.2399 0.3884  6 O 2.49-2.73
O 0.1880 0.6040 0.5020  2 Mn 1.93
Sr 0.5108 0.2317 0.1175  6 O 2.43-2.61
O 0.0827 0.7572 0.6269  2 Mn 1.91-1.96
Mn 0.5108 0.9922 0.9935  5 O 1.92-2.08
O 0.5945 0.9855 0.8732  2 Mn 1.92
Mn 0.4666 0.5085 0.9852  4 O 1.89-1.94
Ca 0.0101 0.9582 0.8827  7 O 2.36-2.64
O 0.6895 0.6276 0.0262  1 Mn 1.90
Ca 0.5174 0.7596 0.8738  4 O 2.28-2.54
O 0.4450 0.9982 0.6269  2 Mn 1.98-2.03
O 0.7032 0.4000 0.6812  2 Mn 1.98-2.11
O 0.3398 0.3508 0.9976  2 Mn 1.89-1.98
O 0.6098 0.1621 0.7536  2 Mn 1.92-2.07
Mn 0.0081 0.7557 0.2480  6 O 1.90-2.12
O 0.2998 0.8562 0.7714  2 Mn 1.98-1.99
O 0.7614 0.1487 0.0016  1 Mn 1.92
Ca 0.5233 0.7668 0.3768  4 O 2.33-2.47
Ca 0.9581 0.5436 0.1293  6 O 2.34-2.44
Ca 0.0238 0.9943 0.6135  4 O 2.31-2.41
Mn 0.9927 0.7427 0.0010  6 O 1.95-2.14
O 0.0732 0.7521 0.1238  2 Mn 1.95
O 0.2558 0.1006 0.9696  2 Mn 1.92-2.06
O 0.8382 0.9062 0.7354  2 Mn 1.94-2.05
Mn 0.9410 0.2684 0.2475  4 O 2.01-2.10
Mn 0.5023 0.5151 0.7448  4 O 1.97-2.01
Mn 0.5267 0.9917 0.2528  5 O 1.89-2.00
O 0.1954 0.5924 0.2499  2 Mn 1.92-2.12
O 0.8251 0.8972 0.2401  2 Mn 1.90-2.00
Mn 0.5238 0.9941 0.7520  5 O 1.92-2.05
Sr 0.0087 0.0022 0.1134  4 O 2.45-2.65
Mn 0.0316 0.2383 0.5060  5 O 1.95-2.05
O 0.7729 0.8778 0.0120  2 Mn 1.97-1.98
Mn 0.9998 0.7478 0.5039  6 O 1.93-2.12
O 0.5710 0.4848 0.8699  2 Mn 1.89-2.00
Mn 0.9144 0.2705 0.7424  4 O 2.01-2.11
Ca 0.5069 0.7805 0.6218  6 O 2.38-2.59
O 0.1857 0.5887 0.7536  2 Mn 1.97-2.14
O 0.4598 0.9979 0.1267  2 Mn 1.99-2.08
O 0.7168 0.4047 0.2046  2 Mn 1.91-2.10
O 0.0690 0.2389 0.1280  2 Mn 2.01-2.07
O 0.9684 0.3014 0.8732  2 Mn 2.02-2.07
O 0.1660 0.5911 0.9967  2 Mn 1.94-1.96
Ca 0.4837 0.2248 0.6212  6 O 2.28-2.53
O 0.7135 0.6608 0.7251  2 Mn 1.97-2.01
O 0.2959 0.8601 0.2711  2 Mn 1.95-1.99
Ca 0.9790 0.5189 0.8716  5 O 2.29-2.47
Mn 0.5121 0.9958 0.4981  6 O 1.91-2.07
O 0.5896 0.9873 0.3777  2 Mn 1.91-1.96
O 0.7853 0.8865 0.5168  2 Mn 1.98-2.00
O 0.7286 0.1486 0.5117  2 Mn 1.95-2.07
Mn 0.0470 0.2473 0.9942  5 O 1.92-2.07

> The lowest formation energy belongs to which entry?

SrCa3Mn4O10